The following is a DFT calculation (r2SCAN) of an optimized crystal structure of KU2F9.

Cell lengths 7.0268, 8.7003, 11.3895 Å; angles 89.98, 90.00, 90.01 degrees
Fractional positions:
F 0.0727 0.0036 0.6010
F 0.9269 0.9962 0.3991
F 0.0730 0.0037 0.8989
F 0.1977 0.4338 0.4232
F 0.6459 0.7865 0.3915
F 0.3022 0.9339 0.0766
F 0.3023 0.9338 0.4233
F 0.8540 0.2864 0.3915
F 0.8024 0.5663 0.5770
F 0.3363 0.6722 0.2500
F 0.5731 0.4964 0.3991
F 0.1461 0.7137 0.6084
F 0.4269 0.5036 0.8990
F 0.0259 0.7090 0.0971
F 0.4741 0.2092 0.0971
F 0.8023 0.5662 0.9231
F 0.9741 0.2909 0.9028
F 0.9731 0.2909 0.5971
F 0.5260 0.7909 0.9030
F 0.3543 0.2134 0.8915
F 0.0263 0.7091 0.4029
F 0.4273 0.5036 0.6010
F 0.6633 0.3283 0.7500
F 0.4736 0.2093 0.4029
F 0.5731 0.4964 0.1011
F 0.5268 0.7909 0.5971
F 0.3540 0.2136 0.6085
F 0.8543 0.2865 0.1084
F 0.9270 0.9963 0.1011
F 0.1633 0.1718 0.2500
F 0.6976 0.0663 0.5769
F 0.6457 0.7867 0.1085
F 0.1459 0.7135 0.8916
F 0.8369 0.8281 0.7500
F 0.6978 0.0662 0.9232
F 0.1977 0.4339 0.0768
U 0.1526 0.1747 0.4510
U 0.6532 0.3253 0.9511
U 0.8470 0.8253 0.9512
U 0.3470 0.6747 0.0489
U 0.3473 0.6748 0.4510
U 0.1531 0.1747 0.0488
U 0.6528 0.3247 0.5490
U 0.8471 0.8247 0.5490
K 0.3571 0.9654 0.7499
K 0.1429 0.4656 0.7499
K 0.8571 0.5344 0.2501
K 0.6429 0.0346 0.2501

Summary:
Energy of formation from the pure elements ... -3.916 eV/atom



The following is a DFT calculation (r2SCAN) of an optimized crystal structure of MgH8Cl2O4.

Cell lengths 7.1884, 8.3301, 10.9441 Å; angles 90.00, 90.00, 90.00 degrees
Fractional positions:
O 0.8094 0.3766 0.1123
O 0.6906 0.8766 0.1123
O 0.6906 0.1234 0.6123
O 0.5000 0.6321 0.2500
O 0.3094 0.8766 0.3877
O 0.0000 0.6241 0.2500
O 0.5000 0.1241 0.2500
O 0.8094 0.6234 0.6123
O 0.5000 0.8759 0.7500
O 0.0000 0.3759 0.7500
O 0.0000 0.1321 0.2500
O 0.5000 0.3679 0.7500
O 0.0000 0.8679 0.7500
O 0.1906 0.6234 0.8877
O 0.3094 0.1234 0.8877
O 0.1906 0.3766 0.3877
Mg 0.5000 0.1217 0.7500
Mg 0.0000 0.6217 0.7500
Mg 0.0000 0.3783 0.2500
Mg 0.5000 0.8783 0.2500
Cl 0.2701 0.6222 0.5972
Cl 0.7299 0.6222 0.9028
Cl 0.7701 0.1222 0.9028
Cl 0.2299 0.1222 0.5972
Cl 0.2701 0.3778 0.0972
Cl 0.7299 0.3778 0.4028
Cl 0.7701 0.8778 0.4028
Cl 0.2299 0.8778 0.0972
H 0.0744 0.3050 0.6983
H 0.0718 0.9387 0.6967
H 0.7875 0.5309 0.5595
H 0.9256 0.6950 0.3017
H 0.4256 0.1950 0.1983
H 0.2034 0.7162 0.9416
H 0.5718 0.5613 0.3033
H 0.9256 0.3050 0.8017
H 0.2875 0.9691 0.4405
H 0.7966 0.2838 0.0584
H 0.9282 0.0613 0.3033
H 0.2966 0.2162 0.9416
H 0.5744 0.8050 0.8017
H 0.5744 0.1950 0.3017
H 0.2875 0.0309 0.9405
H 0.7125 0.0309 0.5595
H 0.2125 0.5309 0.9405
H 0.2034 0.2838 0.4416
H 0.9282 0.9387 0.8033
H 0.7125 0.9691 0.0595
H 0.0744 0.6950 0.1983
H 0.4282 0.4387 0.6967
H 0.2125 0.4691 0.4405
H 0.2966 0.7838 0.4416
H 0.7034 0.2162 0.5584
H 0.4282 0.5613 0.1967
H 0.4256 0.8050 0.6983
H 0.7034 0.7838 0.0584
H 0.7966 0.7162 0.5584
H 0.7875 0.4691 0.0595
H 0.0718 0.0613 0.1967
H 0.5718 0.4387 0.8033

Summary:
Energy of formation from the pure elements ... -1.303 eV/atom



The following is a DFT calculation (r2SCAN) of an optimized crystal structure of SiO2.

Cell lengths 5.2317, 5.2317, 5.2317 Å; angles 60.00, 60.00, 60.00 degrees
Fractional positions:
O 0.1250 0.6250 0.6250
O 0.6250 0.6250 0.6250
O 0.6250 0.6250 0.1250
O 0.6250 0.1250 0.6250
Si 0.5000 0.5000 0.5000
Si 0.7500 0.7500 0.7500

Summary:
Energy of formation from the pure elements ... -3.017 eV/atom



The following is a DFT calculation (r2SCAN) of an optimized crystal structure of LaMgSi2.

Cell lengths 4.3282, 4.3283, 18.7142 Å; angles 96.63, 96.63, 89.99 degrees
Fractional positions:
Si 0.2358 0.4856 0.9716
Si 0.9230 0.6730 0.3459
Si 0.0144 0.2642 0.5284
Si 0.0770 0.3270 0.6541
Si 0.1730 0.4230 0.8458
Si 0.7642 0.5144 0.0284
Si 0.8270 0.5770 0.1542
Si 0.9856 0.7358 0.4716
Mg 0.3750 0.6249 0.2499
Mg 0.6250 0.3751 0.7500
Mg 0.8751 0.1250 0.2500
Mg 0.1249 0.8750 0.7500
La 0.4518 0.2019 0.4040
La 0.7020 0.9518 0.9039
La 0.2981 0.0482 0.0961
La 0.5482 0.7980 0.5960

Summary:
Energy of formation from the pure elements ... -0.624 eV/atom



The following is a DFT calculation (r2SCAN) of an optimized crystal structure of LaSnAu.

Cell lengths 4.7619, 4.7619, 8.0501 Å; angles 90.00, 90.00, 120.00 degrees
Fractional positions:
Au 0.3333 0.6667 0.9939
Au 0.6667 0.3333 0.4939
Sn 0.6667 0.3333 0.9188
Sn 0.3333 0.6667 0.4188
La 0.0000 0.0000 0.1942
La 0.0000 0.0000 0.6942

Summary:
Energy of formation from the pure elements ... -0.968 eV/atom



The following is a DFT calculation (r2SCAN) of an optimized crystal structure of Pr3Tm.

Cell lengths 7.4717, 7.4717, 5.8878 Å; angles 90.00, 90.00, 120.00 degrees
Fractional positions:
Pr 0.8310 0.6620 0.7500
Pr 0.3380 0.1690 0.7500
Pr 0.1690 0.3380 0.2500
Pr 0.6620 0.8310 0.2500
Pr 0.1690 0.8310 0.2500
Pr 0.8310 0.1690 0.7500
Tm 0.6667 0.3333 0.2500
Tm 0.3333 0.6667 0.7500

Summary:
Energy of formation from the pure elements ... 0.036 eV/atom